Entry 1:
A geometry-optimized GdFeC2 structure. Source: Materials Project, functional r²SCAN.

## Properties
ΔH_f (0 K) in meV per atom: -229
SG: No. 38
Electronic total energy in eV/atom: -19.66
Calculated volume in Å³ per atom: 12.59
M_tot in μB/cell: 5.347

Unit cell a=3.696 b=3.760 c=3.760 alpha=105.49 beta=90.00 gamma=90.00
Fractional coordinates of all 4 atoms:
Fe 0.500 0.391 0.609
C 0.500 0.854 0.454
C 0.500 0.546 0.146
Gd 0.000 0.994 0.006

***

Entry 2:
A geometry-optimized FeH7C3NO6 structure. Source: Materials Project, functional r²SCAN.

## Properties
ΔH_f (0 K) in meV per atom: -863
SG: No. 4
Electronic total energy in eV/atom: -7.16
Calculated volume in Å³ per atom: 10.45
M_tot in μB/cell: 0.000

Unit cell a=12.445 b=12.447 c=8.411 alpha=90.00 beta=90.00 gamma=119.97
Fractional coordinates of all 108 atoms:
N 0.000 0.000 0.148
N 0.000 0.000 0.648
N 0.667 0.333 0.032
N 0.666 0.333 0.535
N 0.333 0.667 0.532
N 0.334 0.667 0.035
H 0.122 0.271 0.814
H 0.499 0.447 0.283
H 0.878 0.729 0.314
H 0.397 0.756 0.494
H 0.667 0.333 0.153
H 0.554 0.053 0.284
H 0.166 0.388 0.393
H 0.388 0.222 0.893
H 0.851 0.122 0.314
H 0.730 0.851 0.814
H 0.333 0.667 0.156
H 0.000 0.000 0.027
H 0.603 0.244 0.994
H 0.756 0.359 0.994
H 0.063 0.973 0.186
H 0.423 0.693 0.996
H 0.307 0.729 0.996
H 0.693 0.271 0.496
H 0.641 0.397 0.994
H 0.446 0.947 0.784
H 0.501 0.553 0.783
H 0.149 0.878 0.814
H 0.667 0.333 0.656
H 0.244 0.641 0.494
H 0.577 0.307 0.496
H 0.000 0.000 0.527
H 0.729 0.422 0.496
H 0.222 0.834 0.393
H 0.937 0.027 0.686
H 0.027 0.089 0.186
H 0.973 0.911 0.686
H 0.612 0.778 0.393
H 0.911 0.938 0.186
H 0.270 0.148 0.314
H 0.834 0.612 0.893
H 0.089 0.062 0.686
H 0.053 0.499 0.784
H 0.271 0.578 0.996
H 0.359 0.603 0.494
H 0.778 0.166 0.893
H 0.947 0.501 0.284
H 0.333 0.667 0.653
O 0.424 0.263 0.440
O 0.086 0.598 0.441
O 0.755 0.825 0.241
O 0.176 0.930 0.240
O 0.070 0.246 0.240
O 0.930 0.754 0.740
O 0.427 0.154 0.231
O 0.402 0.488 0.441
O 0.914 0.402 0.941
O 0.936 0.166 0.956
O 0.727 0.574 0.231
O 0.501 0.395 0.730
O 0.106 0.501 0.230
O 0.598 0.512 0.941
O 0.064 0.834 0.456
O 0.161 0.424 0.939
O 0.512 0.914 0.442
O 0.499 0.605 0.230
O 0.605 0.106 0.730
O 0.573 0.846 0.731
O 0.245 0.175 0.741
O 0.737 0.161 0.440
O 0.846 0.273 0.231
O 0.576 0.737 0.940
O 0.263 0.839 0.940
O 0.839 0.576 0.439
O 0.894 0.499 0.730
O 0.834 0.770 0.956
O 0.230 0.064 0.956
O 0.154 0.727 0.731
O 0.395 0.894 0.230
O 0.824 0.070 0.740
O 0.770 0.936 0.456
O 0.166 0.231 0.456
O 0.273 0.426 0.731
O 0.488 0.086 0.942
C 0.710 0.845 0.366
C 0.184 0.371 0.826
C 0.813 0.184 0.326
C 0.845 0.135 0.865
C 0.629 0.813 0.826
C 0.155 0.865 0.365
C 0.816 0.629 0.326
C 0.532 0.488 0.816
C 0.135 0.291 0.365
C 0.371 0.187 0.327
C 0.488 0.956 0.317
C 0.512 0.044 0.817
C 0.044 0.532 0.316
C 0.468 0.512 0.316
C 0.187 0.816 0.827
C 0.956 0.468 0.816
C 0.865 0.709 0.865
C 0.290 0.155 0.866
Fe 0.330 0.993 0.088
Fe 0.993 0.664 0.588
Fe 0.007 0.336 0.088
Fe 0.664 0.671 0.088
Fe 0.670 0.007 0.588
Fe 0.336 0.329 0.588

***

Entry 3:
A geometry-optimized FeH12C8S2N6O2 structure. Source: Materials Project, functional r²SCAN.

## Properties
ΔH_f (0 K) in meV per atom: -98
SG: No. 14
Electronic total energy in eV/atom: -7.14
Calculated volume in Å³ per atom: 12.08
M_tot in μB/cell: 8.000

Unit cell a=8.004 b=9.259 c=10.157 alpha=90.00 beta=90.00 gamma=95.55
Fractional coordinates of all 62 atoms:
H 0.592 0.561 0.143
H 0.544 0.791 0.465
H 0.044 0.291 0.035
H 0.030 0.937 0.225
H 0.262 0.555 0.794
H 0.429 0.620 0.426
H 0.956 0.709 0.965
H 0.969 0.259 0.199
H 0.469 0.759 0.301
H 0.238 0.945 0.294
H 0.408 0.439 0.857
H 0.929 0.120 0.074
H 0.071 0.880 0.926
H 0.092 0.061 0.357
H 0.738 0.445 0.206
H 0.530 0.437 0.275
H 0.908 0.939 0.643
H 0.762 0.055 0.706
H 0.531 0.241 0.699
H 0.571 0.380 0.574
H 0.970 0.063 0.775
H 0.470 0.563 0.725
H 0.456 0.209 0.535
H 0.031 0.741 0.801
N 0.788 0.432 0.909
N 0.556 0.026 0.202
N 0.910 0.279 0.469
N 0.444 0.974 0.798
N 0.944 0.474 0.702
N 0.410 0.779 0.031
N 0.712 0.068 0.409
N 0.212 0.568 0.091
N 0.056 0.526 0.298
N 0.090 0.721 0.531
N 0.590 0.221 0.969
N 0.288 0.932 0.591
C 0.866 0.448 0.798
C 0.314 0.682 0.064
C 0.484 0.291 0.611
C 0.814 0.182 0.436
C 0.633 0.506 0.231
C 0.367 0.494 0.769
C 0.016 0.209 0.111
C 0.516 0.709 0.389
C 0.867 0.994 0.731
C 0.133 0.006 0.269
C 0.186 0.818 0.564
C 0.984 0.791 0.889
C 0.366 0.948 0.702
C 0.634 0.052 0.298
C 0.686 0.318 0.936
C 0.134 0.552 0.202
S 0.289 0.358 0.653
S 0.711 0.642 0.347
S 0.211 0.142 0.153
S 0.789 0.858 0.847
O 0.256 0.059 0.031
O 0.756 0.559 0.469
O 0.244 0.441 0.531
O 0.744 0.941 0.969
Fe 0.000 0.500 0.500
Fe 0.500 0.000 0.000

***

Entry 4:
A geometry-optimized Ho2FeC4 structure. Source: Materials Project, functional r²SCAN.

## Properties
ΔH_f (0 K) in meV per atom: -372
SG: No. 72
Electronic total energy in eV/atom: -17.51
Calculated volume in Å³ per atom: 12.60
M_tot in μB/cell: 0.000

Unit cell a=4.983 b=6.537 c=6.537 alpha=69.10 beta=67.59 gamma=67.59
Fractional coordinates of all 14 atoms:
Ho 0.856 0.488 0.801
Ho 0.356 0.801 0.488
Ho 0.144 0.512 0.199
Ho 0.644 0.199 0.512
C 0.922 0.914 0.242
C 0.422 0.242 0.914
C 0.078 0.086 0.758
C 0.578 0.758 0.086
C 0.129 0.208 0.534
C 0.629 0.534 0.208
C 0.371 0.466 0.792
C 0.871 0.792 0.466
Fe 0.250 0.000 0.000
Fe 0.750 0.000 0.000

***

Entry 5:
A geometry-optimized La2Fe2Si2C structure. Source: Materials Project, functional r²SCAN.

## Properties
ΔH_f (0 K) in meV per atom: -496
SG: No. 12
Electronic total energy in eV/atom: -17.04
Calculated volume in Å³ per atom: 17.71
M_tot in μB/cell: 0.000

Unit cell a=5.818 b=5.818 c=7.107 alpha=55.61 beta=55.61 gamma=40.17
Fractional coordinates of all 7 atoms:
La 0.555 0.555 0.697
La 0.445 0.445 0.303
C 0.000 0.000 0.000
Fe 0.189 0.189 0.922
Fe 0.811 0.811 0.078
Si 0.807 0.807 0.762
Si 0.193 0.193 0.238

***

Entry 6:
A geometry-optimized Li2FeCO4 structure. Source: Materials Project, functional r²SCAN.

## Properties
ΔH_f (0 K) in meV per atom: -1766
SG: No. 14
Electronic total energy in eV/atom: -8.39
Calculated volume in Å³ per atom: 11.52
M_tot in μB/cell: 16.000

Unit cell a=4.934 b=7.260 c=10.486 alpha=78.83 beta=90.00 gamma=90.00
Fractional coordinates of all 32 atoms:
O 0.671 0.282 0.975
O 0.171 0.960 0.359
O 0.329 0.718 0.025
O 0.434 0.171 0.564
O 0.566 0.829 0.436
O 0.329 0.960 0.859
O 0.671 0.040 0.141
O 0.171 0.718 0.525
O 0.829 0.282 0.475
O 0.842 0.652 0.229
O 0.829 0.040 0.641
O 0.658 0.652 0.729
O 0.934 0.829 0.936
O 0.066 0.171 0.064
O 0.158 0.348 0.771
O 0.342 0.348 0.271
Li 0.673 0.877 0.797
Li 0.173 0.123 0.703
Li 0.817 0.793 0.577
Li 0.683 0.793 0.077
Li 0.327 0.123 0.203
Li 0.317 0.207 0.923
Li 0.183 0.207 0.423
Li 0.827 0.877 0.297
Fe 0.158 0.551 0.173
Fe 0.342 0.551 0.673
Fe 0.658 0.449 0.327
Fe 0.842 0.449 0.827
C 0.808 0.163 0.062
C 0.308 0.837 0.438
C 0.192 0.837 0.938
C 0.692 0.163 0.562

***

Entry 7:
A geometry-optimized LiFeC2O6 structure. Source: Materials Project, functional r²SCAN.

## Properties
ΔH_f (0 K) in meV per atom: -1658
Electronic total energy in eV/atom: -8.91
Calculated volume in Å³ per atom: 9.14
M_tot in μB/cell: 0.000

Unit cell a=5.619 b=7.273 c=9.241 alpha=89.98 beta=89.97 gamma=104.45
Fractional coordinates of all 40 atoms:
O 0.650 0.389 0.435
O 0.850 0.111 0.315
O 0.629 0.890 0.575
O 0.372 0.111 0.925
O 0.500 0.761 0.361
O 0.000 0.739 0.889
O 0.871 0.610 0.675
O 0.650 0.389 0.935
O 0.629 0.890 0.075
O 0.500 0.239 0.139
O 0.000 0.739 0.389
O 0.500 0.761 0.861
O 0.000 0.261 0.611
O 0.000 0.261 0.111
O 0.850 0.111 0.815
O 0.150 0.889 0.186
O 0.150 0.889 0.686
O 0.500 0.239 0.639
O 0.128 0.389 0.325
O 0.128 0.389 0.825
O 0.350 0.611 0.564
O 0.871 0.610 0.175
O 0.350 0.611 0.064
O 0.372 0.111 0.425
Fe 0.000 0.500 0.500
Fe 0.500 0.000 0.750
Fe 0.500 0.000 0.250
Fe 0.000 0.500 0.000
Li 0.501 0.499 0.750
Li 0.999 0.001 0.500
Li 0.501 0.499 0.250
Li 0.999 0.001 0.000
C 0.008 0.746 0.250
C 0.509 0.246 0.000
C 0.492 0.754 0.500
C 0.991 0.254 0.750
C 0.991 0.254 0.250
C 0.492 0.754 0.000
C 0.508 0.246 0.500
C 0.008 0.746 0.750

***

Entry 8:
A geometry-optimized LuFeC2 structure. Source: Materials Project, functional r²SCAN.

## Properties
ΔH_f (0 K) in meV per atom: -305
SG: No. 38
Electronic total energy in eV/atom: -18.40
Calculated volume in Å³ per atom: 11.48
M_tot in μB/cell: 1.678

Unit cell a=3.454 b=3.714 c=3.714 alpha=105.48 beta=90.00 gamma=90.00
Fractional coordinates of all 4 atoms:
C 0.500 0.857 0.456
C 0.500 0.544 0.143
Lu 0.000 0.992 0.008
Fe 0.500 0.391 0.609

***

Entry 9:
A geometry-optimized Sm2Fe17CN structure. Source: Materials Project, functional r²SCAN.

## Properties
ΔH_f (0 K) in meV per atom: -91
SG: No. 2
Electronic total energy in eV/atom: -15.50
Calculated volume in Å³ per atom: 13.04
M_tot in μB/cell: 43.117

Unit cell a=6.503 b=6.539 c=6.548 alpha=84.05 beta=83.57 gamma=83.51
Fractional coordinates of all 21 atoms:
Fe 0.656 0.657 0.144
Fe 0.343 0.854 0.341
Fe 0.344 0.343 0.856
Fe 0.710 0.289 0.001
Fe 0.284 0.997 0.718
Fe 0.500 0.000 0.000
Fe 0.000 0.282 0.719
Fe 0.096 0.096 0.095
Fe 0.851 0.342 0.341
Fe 0.000 0.000 0.500
Fe 0.000 0.500 0.000
Fe 0.657 0.146 0.659
Fe 0.904 0.904 0.905
Fe 0.000 0.718 0.281
Fe 0.290 0.711 0.999
Fe 0.716 0.003 0.282
Fe 0.149 0.658 0.659
Sm 0.336 0.348 0.341
Sm 0.664 0.652 0.659
N 0.000 0.500 0.500
C 0.500 0.000 0.500

***

Entry 10:
A geometry-optimized FeCO3 structure. Source: Materials Project, functional r²SCAN.

## Properties
ΔH_f (0 K) in meV per atom: -1379
SG: No. 167
Electronic total energy in eV/atom: -9.83
Calculated volume in Å³ per atom: 9.55
M_tot in μB/cell: 8.000

Unit cell a=5.679 b=5.679 c=5.679 alpha=48.89 beta=48.89 gamma=48.89
Fractional coordinates of all 10 atoms:
O 0.475 0.024 0.750
O 0.024 0.750 0.475
O 0.976 0.250 0.525
O 0.525 0.976 0.250
O 0.750 0.475 0.025
O 0.250 0.525 0.976
Fe 0.500 0.500 0.500
Fe 0.000 0.000 0.000
C 0.250 0.250 0.250
C 0.750 0.750 0.750

***

Entry 11:
A geometry-optimized UFe2SiC structure. Source: Materials Project, functional r²SCAN.

## Properties
ΔH_f (0 K) in meV per atom: -260
SG: No. 63
Electronic total energy in eV/atom: -25.76
Calculated volume in Å³ per atom: 13.00
M_tot in μB/cell: 1.251

Unit cell a=5.659 b=5.659 c=6.485 alpha=90.00 beta=90.00 gamma=141.25
Fractional coordinates of all 10 atoms:
Si 0.720 0.280 0.750
Si 0.280 0.720 0.250
Fe 0.164 0.836 0.554
Fe 0.836 0.164 0.054
Fe 0.836 0.164 0.446
Fe 0.164 0.836 0.946
U 0.561 0.439 0.250
U 0.439 0.561 0.750
C 0.000 0.000 0.500
C 0.000 0.000 0.000

***

Entry 12:
A geometry-optimized Tm2FeC4 structure. Source: Materials Project, functional r²SCAN.

## Properties
ΔH_f (0 K) in meV per atom: -392
SG: No. 72
Electronic total energy in eV/atom: -18.17
Calculated volume in Å³ per atom: 12.25
M_tot in μB/cell: 0.000

Unit cell a=4.939 b=6.466 c=6.466 alpha=69.83 beta=67.55 gamma=67.55
Fractional coordinates of all 14 atoms:
Fe 0.250 0.000 0.000
Fe 0.750 0.000 0.000
C 0.630 0.531 0.209
C 0.870 0.791 0.469
C 0.422 0.244 0.912
C 0.922 0.912 0.244
C 0.578 0.756 0.088
C 0.370 0.469 0.791
C 0.130 0.209 0.531
C 0.078 0.088 0.756
Tm 0.855 0.490 0.800
Tm 0.645 0.200 0.510
Tm 0.145 0.510 0.200
Tm 0.355 0.800 0.490

***

Entry 13:
A geometry-optimized Gd3GaC structure. Source: Materials Project, functional r²SCAN.

## Properties
ΔH_f (0 K) in meV per atom: -458
SG: No. 221
Electronic total energy in eV/atom: -30.77
Calculated volume in Å³ per atom: 23.65
M_tot in μB/cell: 21.292

Unit cell a=4.908 b=4.908 c=4.908 alpha=90.00 beta=90.00 gamma=90.00
Fractional coordinates of all 5 atoms:
Ga 0.500 0.500 0.500
Gd 0.500 0.000 0.000
Gd 0.000 0.500 0.000
Gd 0.000 0.000 0.500
C 0.000 0.000 0.000